ZrVNi | GGA-PBE | relaxed

abc: 5.0128 5.0128 8.3884
angles: 90.00 90.00 119.13
With the nearest neighbours (Å) after each atom.
Fractional positions:
Zr  0.6740  0.3260  0.3186  7 Ni 2.84-3.03, 5 V 2.97-3.04, 4 Zr 3.04-3.09
Zr  0.3377  0.6623  0.1937  5 Ni 2.92-2.96, 7 V 2.97-3.02, 4 Zr 3.09-3.25
Zr  0.3377  0.6623  0.8063  5 Ni 2.92-2.96, 7 V 2.97-3.02, 4 Zr 3.09-3.25
Zr  0.6740  0.3260  0.6814  7 Ni 2.84-3.03, 5 V 2.97-3.04, 4 Zr 3.04-3.09
V  0.1551  0.8449  0.5000  6 Ni 2.44-2.52
V  0.3409  0.1674  0.0000  4 V 2.42-2.59, 2 Ni 2.60
V  0.8326  0.6591  0.0000  4 V 2.42-2.59, 2 Ni 2.60
V  0.8265  0.1735  0.0000  4 V 2.42-2.59, 2 Ni 2.63
Ni  0.0030  0.9970  0.2548  4 V 2.44-2.63, 2 Ni 2.56
Ni  0.0030  0.9970  0.7452  4 V 2.44-2.63, 2 Ni 2.56
Ni  0.6544  0.8388  0.5000  2 V 2.49-2.52, 4 Ni 2.50-2.57
Ni  0.1612  0.3456  0.5000  2 V 2.49-2.52, 4 Ni 2.50-2.57

Results
Its total energy is -8.04 eV per atom. The value obtained for the energy of formation is -238 meV per atom. The calculation puts the density at 7.25 g/cm3.

TbBi3 | GGA-PBE | relaxed

abc: 6.4332 6.4332 6.4332
angles: 137.28 137.28 62.01
With the nearest neighbours (Å) after each atom.
Fractional positions:
Tb  0.0000  0.0000  0.0000  12 Bi 3.31-3.62
Bi  0.7500  0.2500  0.5000  8 Bi 3.31-3.62, 4 Tb 3.62
Bi  0.2500  0.7500  0.5000  8 Bi 3.31-3.62, 4 Tb 3.62
Bi  0.5000  0.5000  0.0000  4 Tb 3.31, 8 Bi 3.62

Results
Its total energy is -4.43 eV per atom. The value obtained for the energy of formation is -351 meV per atom. The calculation puts the density at 10.77 g/cm3.

BaAlCuSbO5 | GGA-PBE | relaxed

abc: 4.0143 4.0105 8.7036
angles: 90.77 88.93 90.01
With the nearest neighbours (Å) after each atom.
Fractional positions:
Ba  0.9947  0.0051  0.9144  8 O 2.84-2.85
Al  0.9998  0.9987  0.3342  4 O 2.01-2.02
Cu  0.4983  0.4996  0.3562  4 O 2.03-2.04
Sb  0.5036  0.4986  0.6752  5 O 2.00-2.01
O  0.0038  0.4971  0.6828  2 Sb 2.01
O  0.5063  0.9984  0.6830  2 Sb 2.00-2.01
O  0.9998  0.4990  0.3170  2 Al 2.01, 2 Cu 2.04
O  0.4991  0.9989  0.3187  2 Al 2.01-2.02, 2 Cu 2.03
O  0.4948  0.5048  0.9065  1 Sb 2.01

Results
The excess energy over the best structure of this formula in the dataset is 0 meV per atom. Its total energy is -5.80 eV per atom. The value obtained for the energy of formation is -1889 meV per atom. The calculation puts the density at 5.09 g/cm3. The MP2020-corrected energy comes out at -6.18 eV per atom.

Ge2Pt3 | GGA-PBE | relaxed

abc: 6.9975 7.6519 12.4058
angles: 90.00 90.00 90.00
With the nearest neighbours (Å) after each atom.
Fractional positions:
Ge  0.8727  0.7500  0.0060  7 Pt 2.58-2.61
Ge  0.3727  0.2500  0.4940  7 Pt 2.58-2.61
Ge  0.1273  0.2500  0.9940  7 Pt 2.58-2.61
Ge  0.6273  0.7500  0.5060  7 Pt 2.58-2.61
Ge  0.3787  0.7500  0.0097  7 Pt 2.57-2.59
Ge  0.8787  0.2500  0.4903  7 Pt 2.57-2.59
Ge  0.6213  0.2500  0.9903  7 Pt 2.57-2.59
Ge  0.1213  0.7500  0.5097  7 Pt 2.57-2.59
Ge  0.6255  0.4729  0.2544  8 Pt 2.62-2.72
Ge  0.1255  0.5271  0.2456  8 Pt 2.62-2.72
Ge  0.3745  0.9729  0.7456  8 Pt 2.62-2.72
Ge  0.8745  0.0271  0.7544  8 Pt 2.62-2.72
Ge  0.3745  0.5271  0.7456  8 Pt 2.62-2.72
Ge  0.8745  0.4729  0.7544  8 Pt 2.62-2.72
Ge  0.6255  0.0271  0.2544  8 Pt 2.62-2.72
Ge  0.1255  0.9729  0.2456  8 Pt 2.62-2.72
Pt  0.8453  0.7500  0.2160  5 Ge 2.61-2.66, 4 Pt 2.82-2.85
Pt  0.3453  0.2500  0.2840  5 Ge 2.61-2.66, 4 Pt 2.82-2.85
Pt  0.1547  0.2500  0.7840  5 Ge 2.61-2.66, 4 Pt 2.82-2.85
Pt  0.6547  0.7500  0.7160  5 Ge 2.61-2.66, 4 Pt 2.82-2.85
Pt  0.4091  0.7500  0.2179  5 Ge 2.59-2.64, 4 Pt 2.82-2.85
Pt  0.9091  0.2500  0.2821  5 Ge 2.59-2.64, 4 Pt 2.82-2.85
Pt  0.5909  0.2500  0.7821  5 Ge 2.59-2.64, 4 Pt 2.82-2.85
Pt  0.0909  0.7500  0.7179  5 Ge 2.59-2.64, 4 Pt 2.82-2.85
Pt  0.8716  0.0593  0.0883  5 Ge 2.58-2.72, 2 Pt 2.82-2.85
Pt  0.3716  0.9407  0.4117  5 Ge 2.58-2.72, 2 Pt 2.82-2.85
Pt  0.1284  0.5593  0.9117  5 Ge 2.58-2.72, 2 Pt 2.82-2.85
Pt  0.6284  0.4407  0.5883  5 Ge 2.58-2.72, 2 Pt 2.82-2.85
Pt  0.1284  0.9407  0.9117  5 Ge 2.58-2.72, 2 Pt 2.82-2.85
Pt  0.6284  0.0593  0.5883  5 Ge 2.58-2.72, 2 Pt 2.82-2.85
Pt  0.8716  0.4407  0.0883  5 Ge 2.58-2.72, 2 Pt 2.82-2.85
Pt  0.3716  0.5593  0.4117  5 Ge 2.58-2.72, 2 Pt 2.82-2.85
Pt  0.3771  0.0586  0.0910  5 Ge 2.57-2.68, 2 Pt 2.82-2.85
Pt  0.8771  0.9414  0.4090  5 Ge 2.57-2.68, 2 Pt 2.82-2.85
Pt  0.6229  0.5586  0.9090  5 Ge 2.57-2.68, 2 Pt 2.82-2.85
Pt  0.1229  0.4414  0.5910  5 Ge 2.57-2.68, 2 Pt 2.82-2.85
Pt  0.6229  0.9414  0.9090  5 Ge 2.57-2.68, 2 Pt 2.82-2.85
Pt  0.1229  0.0586  0.5910  5 Ge 2.57-2.68, 2 Pt 2.82-2.85
Pt  0.3771  0.4414  0.0910  5 Ge 2.57-2.68, 2 Pt 2.82-2.85
Pt  0.8771  0.5586  0.4090  5 Ge 2.57-2.68, 2 Pt 2.82-2.85

Results
The excess energy over the best structure of this formula in the dataset is 0 meV per atom. Its total energy is -5.92 eV per atom. The value obtained for the energy of formation is -427 meV per atom. The calculation puts the density at 14.61 g/cm3.